{"formula": "Na6Sc5Ta3Si6S6O48", "functional": "PBE", "state": "relaxed", "lattice_angstrom": [[-3.480, -12.587, -12.260], [-2.375, -1.297, 8.523], [-20.381, 9.789, -4.236]], "species": ["Na", "Na", "Na", "Na", "Na", "Na", "Na", "Na", "Na", "Na", "Na", "Na", "Na", "Na", "Na", "Na", "Na", "Na", "Sc", "Sc", "Sc", "Sc", "Sc", "Sc", "Sc", "Sc", "Sc", "Sc", "Sc", "Sc", "Sc", "Sc", "Sc", "Ta", "Ta", "Ta", "Ta", "Ta", "Ta", "Ta", "Ta", "Ta", "Si", "Si", "Si", "Si", "Si", "Si", "Si", "Si", "Si", "Si", "Si", "Si", "Si", "Si", "Si", "Si", "Si", "Si", "S", "S", "S", "S", "S", "S", "S", "S", "S", "S", "S", "S", "S", "S", "S", "S", "S", "S", "O", "O", "O", "O", "O", "O", "O", "O", "O", "O", "O", "O", "O", "O", "O", "O", "O", "O", "O", "O", "O", "O", "O", "O", "O", "O", "O", "O", "O", "O", "O", "O", "O", "O", "O", "O", "O", "O", "O", "O", "O", "O", "O", "O", "O", "O", "O", "O", "O", "O", "O", "O", "O", "O", "O", "O", "O", "O", "O", "O", "O", "O", "O", "O", "O", "O", "O", "O", "O", "O", "O", "O", "O", "O", "O", "O", "O", "O", "O", "O", "O", "O", "O", "O", "O", "O", "O", "O", "O", "O", "O", "O", "O", "O", "O", "O", "O", "O", "O", "O", "O", "O", "O", "O", "O", "O", "O", "O", "O", "O", "O", "O", "O", "O", "O", "O", "O", "O", "O", "O", "O", "O", "O", "O", "O", "O", "O", "O", "O", "O", "O", "O", "O", "O", "O", "O", "O", "O", "O", "O", "O", "O", "O", "O"], "frac_coords": [[0.484, 0.686, 0.911], [0.163, 0.318, 0.912], [0.487, 0.296, 0.415], [0.977, 0.289, 0.409], [0.164, 0.024, 0.412], [0.665, 0.030, 0.419], [0.982, 0.967, 0.492], [0.494, 0.985, 0.494], [0.993, 0.997, 0.997], [0.501, 0.999, 0.988], [0.334, 0.326, 0.820], [0.832, 0.340, 0.830], [0.337, 0.332, 0.330], [0.840, 0.340, 0.333], [0.153, 0.659, 0.162], [0.667, 0.647, 0.165], [0.169, 0.670, 0.671], [0.662, 0.657, 0.663], [0.997, 0.996, 0.351], [0.494, 0.002, 0.355], [0.002, 0.000, 0.851], [0.500, 0.998, 0.851], [0.335, 0.334, 0.691], [0.833, 0.343, 0.689], [0.335, 0.327, 0.191], [0.841, 0.347, 0.183], [0.332, 0.338, 0.978], [0.339, 0.339, 0.477], [0.834, 0.337, 0.474], [0.161, 0.654, 0.017], [0.667, 0.669, 0.021], [0.169, 0.677, 0.518], [0.667, 0.669, 0.514], [0.004, 0.998, 0.650], [0.501, 0.004, 0.654], [0.004, 0.999, 0.149], [0.507, 0.019, 0.146], [0.834, 0.339, 0.979], [0.160, 0.672, 0.310], [0.664, 0.658, 0.317], [0.164, 0.650, 0.809], [0.665, 0.674, 0.810], [0.147, 0.007, 0.254], [0.998, 0.290, 0.252], [0.505, 0.304, 0.252], [0.146, 0.288, 0.753], [0.647, 0.291, 0.754], [0.000, 0.705, 0.754], [0.500, 0.711, 0.753], [0.353, 0.997, 0.754], [0.982, 0.632, 0.083], [0.692, 0.340, 0.085], [0.312, 0.674, 0.919], [0.018, 0.371, 0.916], [0.669, 0.961, 0.919], [0.310, 0.953, 0.417], [0.814, 0.954, 0.417], [0.667, 0.375, 0.418], [0.022, 0.671, 0.418], [0.520, 0.668, 0.418], [0.644, 0.997, 0.249], [0.355, 0.714, 0.248], [0.853, 0.712, 0.249], [0.855, 0.996, 0.749], [0.481, 0.328, 0.584], [0.980, 0.327, 0.584], [0.184, 0.041, 0.584], [0.684, 0.040, 0.585], [0.336, 0.630, 0.584], [0.835, 0.633, 0.585], [0.478, 0.629, 0.085], [0.336, 0.041, 0.085], [0.836, 0.047, 0.083], [0.187, 0.329, 0.085], [0.810, 0.664, 0.917], [0.524, 0.383, 0.917], [0.167, 0.956, 0.917], [0.169, 0.383, 0.416], [0.106, 0.023, 0.313], [0.603, 0.013, 0.302], [0.406, 0.788, 0.301], [0.903, 0.790, 0.301], [0.491, 0.192, 0.310], [0.990, 0.187, 0.312], [0.104, 0.184, 0.811], [0.604, 0.179, 0.810], [0.489, 0.783, 0.813], [0.981, 0.794, 0.808], [0.412, 0.030, 0.809], [0.905, 0.022, 0.802], [0.403, 0.969, 0.695], [0.897, 0.968, 0.697], [0.080, 0.185, 0.695], [0.583, 0.201, 0.695], [0.009, 0.831, 0.695], [0.517, 0.840, 0.696], [0.400, 0.824, 0.196], [0.898, 0.819, 0.196], [0.007, 0.181, 0.195], [0.514, 0.192, 0.195], [0.082, 0.972, 0.196], [0.586, 0.975, 0.197], [0.434, 0.341, 0.634], [0.936, 0.345, 0.635], [0.236, 0.132, 0.634], [0.738, 0.133, 0.635], [0.328, 0.527, 0.636], [0.828, 0.531, 0.637], [0.433, 0.518, 0.134], [0.938, 0.519, 0.140], [0.328, 0.130, 0.137], [0.823, 0.122, 0.136], [0.240, 0.342, 0.135], [0.743, 0.352, 0.143], [0.223, 0.302, 0.030], [0.737, 0.308, 0.027], [0.429, 0.553, 0.030], [0.917, 0.526, 0.026], [0.352, 0.147, 0.032], [0.848, 0.155, 0.030], [0.218, 0.136, 0.529], [0.722, 0.136, 0.530], [0.345, 0.547, 0.531], [0.850, 0.559, 0.532], [0.432, 0.308, 0.529], [0.932, 0.303, 0.530], [0.265, 0.688, 0.977], [0.768, 0.680, 0.969], [0.080, 0.455, 0.972], [0.575, 0.465, 0.969], [0.157, 0.857, 0.970], [0.656, 0.832, 0.973], [0.267, 0.841, 0.475], [0.769, 0.838, 0.473], [0.156, 0.462, 0.469], [0.645, 0.457, 0.473], [0.083, 0.696, 0.473], [0.580, 0.704, 0.474], [0.070, 0.641, 0.359], [0.569, 0.631, 0.360], [0.248, 0.849, 0.360], [0.751, 0.857, 0.358], [0.180, 0.487, 0.363], [0.680, 0.499, 0.359], [0.067, 0.495, 0.859], [0.569, 0.494, 0.864], [0.178, 0.876, 0.864], [0.680, 0.855, 0.861], [0.246, 0.637, 0.862], [0.758, 0.641, 0.864], [0.017, 0.845, 0.413], [0.515, 0.839, 0.406], [0.408, 0.993, 0.413], [0.912, 0.993, 0.412], [0.091, 0.209, 0.412], [0.584, 0.184, 0.409], [0.007, 0.180, 0.910], [0.513, 0.212, 0.912], [0.091, 0.982, 0.913], [0.584, 0.979, 0.914], [0.410, 0.831, 0.915], [0.896, 0.815, 0.912], [0.488, 0.167, 0.589], [0.986, 0.163, 0.592], [0.094, 0.022, 0.591], [0.596, 0.024, 0.590], [0.415, 0.808, 0.589], [0.914, 0.813, 0.592], [0.485, 0.803, 0.093], [0.984, 0.822, 0.090], [0.416, 0.021, 0.094], [0.915, 0.031, 0.088], [0.098, 0.169, 0.091], [0.592, 0.155, 0.093], [0.339, 0.157, 0.740], [0.841, 0.141, 0.740], [0.240, 0.316, 0.741], [0.741, 0.315, 0.741], [0.423, 0.519, 0.741], [0.921, 0.513, 0.741], [0.343, 0.540, 0.240], [0.840, 0.538, 0.243], [0.424, 0.333, 0.241], [0.916, 0.318, 0.245], [0.241, 0.171, 0.242], [0.729, 0.148, 0.241], [0.317, 0.489, 0.924], [0.816, 0.501, 0.921], [0.440, 0.380, 0.920], [0.925, 0.362, 0.926], [0.246, 0.135, 0.922], [0.758, 0.149, 0.926], [0.311, 0.140, 0.422], [0.817, 0.141, 0.421], [0.245, 0.360, 0.422], [0.752, 0.355, 0.421], [0.428, 0.486, 0.420], [0.931, 0.490, 0.421], [0.175, 0.481, 0.082], [0.671, 0.495, 0.076], [0.080, 0.669, 0.077], [0.566, 0.653, 0.081], [0.261, 0.868, 0.081], [0.761, 0.871, 0.076], [0.170, 0.863, 0.582], [0.673, 0.864, 0.583], [0.258, 0.651, 0.581], [0.758, 0.654, 0.582], [0.069, 0.475, 0.581], [0.568, 0.481, 0.582], [0.153, 0.826, 0.255], [0.649, 0.834, 0.250], [0.269, 0.700, 0.253], [0.768, 0.708, 0.251], [0.092, 0.478, 0.257], [0.595, 0.492, 0.253], [0.147, 0.474, 0.753], [0.658, 0.488, 0.761], [0.091, 0.706, 0.758], [0.592, 0.701, 0.757], [0.259, 0.818, 0.759], [0.769, 0.831, 0.754]]}

{"formula": "Na2Sc3TaSi2S4O24", "functional": "PBE", "state": "relaxed", "lattice_angstrom": [[-4.529, 1.268, 7.548], [-0.077, -7.964, -3.930], [18.616, -6.178, 12.356]], "species": ["Na", "Na", "Na", "Na", "Na", "Na", "Sc", "Sc", "Sc", "Sc", "Sc", "Sc", "Sc", "Sc", "Sc", "Ta", "Ta", "Ta", "Si", "Si", "Si", "Si", "Si", "Si", "S", "S", "S", "S", "S", "S", "S", "S", "S", "S", "S", "S", "O", "O", "O", "O", "O", "O", "O", "O", "O", "O", "O", "O", "O", "O", "O", "O", "O", "O", "O", "O", "O", "O", "O", "O", "O", "O", "O", "O", "O", "O", "O", "O", "O", "O", "O", "O", "O", "O", "O", "O", "O", "O", "O", "O", "O", "O", "O", "O", "O", "O", "O", "O", "O", "O", "O", "O", "O", "O", "O", "O", "O", "O", "O", "O", "O", "O", "O", "O", "O", "O", "O", "O"], "frac_coords": [[0.000, 0.992, 0.498], [0.998, 0.983, 0.998], [0.653, 0.329, 0.834], [0.680, 0.336, 0.331], [0.320, 0.660, 0.159], [0.331, 0.660, 0.668], [0.996, 0.001, 0.352], [0.015, 0.000, 0.856], [0.011, 0.014, 0.651], [0.000, 0.002, 0.144], [0.656, 0.334, 0.688], [0.689, 0.342, 0.185], [0.679, 0.344, 0.478], [0.333, 0.679, 0.019], [0.324, 0.670, 0.518], [0.665, 0.345, 0.978], [0.316, 0.657, 0.312], [0.344, 0.666, 0.817], [0.992, 0.280, 0.250], [0.291, 0.294, 0.751], [0.965, 0.630, 0.084], [0.629, 0.676, 0.920], [0.336, 0.959, 0.918], [0.039, 0.671, 0.418], [0.292, 0.001, 0.251], [0.706, 0.708, 0.251], [0.002, 0.707, 0.750], [0.708, 0.000, 0.751], [0.957, 0.332, 0.584], [0.376, 0.043, 0.583], [0.667, 0.627, 0.583], [0.667, 0.046, 0.083], [0.379, 0.334, 0.084], [0.043, 0.378, 0.917], [0.621, 0.954, 0.417], [0.334, 0.379, 0.417], [0.211, 0.021, 0.303], [0.813, 0.786, 0.303], [0.977, 0.175, 0.308], [0.202, 0.177, 0.806], [0.969, 0.782, 0.801], [0.810, 0.024, 0.802], [0.781, 0.965, 0.698], [0.175, 0.210, 0.692], [0.029, 0.814, 0.697], [0.780, 0.814, 0.199], [0.036, 0.204, 0.193], [0.185, 0.960, 0.199], [0.877, 0.358, 0.635], [0.482, 0.124, 0.635], [0.642, 0.519, 0.635], [0.867, 0.509, 0.139], [0.639, 0.123, 0.135], [0.483, 0.354, 0.135], [0.466, 0.308, 0.030], [0.833, 0.520, 0.027], [0.688, 0.154, 0.031], [0.457, 0.148, 0.531], [0.691, 0.543, 0.531], [0.852, 0.309, 0.531], [0.531, 0.688, 0.975], [0.147, 0.455, 0.969], [0.302, 0.840, 0.973], [0.542, 0.848, 0.469], [0.311, 0.461, 0.468], [0.161, 0.694, 0.473], [0.144, 0.644, 0.361], [0.513, 0.868, 0.364], [0.361, 0.491, 0.364], [0.125, 0.490, 0.864], [0.362, 0.860, 0.859], [0.499, 0.633, 0.860], [0.022, 0.842, 0.410], [0.795, 0.974, 0.411], [0.178, 0.207, 0.410], [0.018, 0.204, 0.908], [0.172, 0.987, 0.910], [0.814, 0.838, 0.907], [0.972, 0.172, 0.588], [0.199, 0.020, 0.589], [0.824, 0.801, 0.589], [0.974, 0.818, 0.088], [0.827, 0.033, 0.087], [0.208, 0.174, 0.086], [0.685, 0.152, 0.742], [0.487, 0.322, 0.742], [0.850, 0.530, 0.742], [0.675, 0.530, 0.245], [0.830, 0.315, 0.247], [0.465, 0.152, 0.244], [0.641, 0.492, 0.925], [0.868, 0.364, 0.922], [0.517, 0.149, 0.926], [0.633, 0.127, 0.422], [0.490, 0.362, 0.421], [0.851, 0.491, 0.422], [0.363, 0.488, 0.077], [0.150, 0.640, 0.079], [0.514, 0.871, 0.078], [0.360, 0.868, 0.578], [0.510, 0.643, 0.577], [0.134, 0.487, 0.577], [0.316, 0.841, 0.260], [0.530, 0.694, 0.261], [0.175, 0.483, 0.261], [0.309, 0.491, 0.759], [0.160, 0.690, 0.757], [0.528, 0.840, 0.757]]}

{"formula": "Na2Sc2Ta2Si3S3O24", "functional": "PBE", "state": "relaxed", "lattice_angstrom": [[-8.130, -2.469, 2.525], [5.927, -6.159, -2.391], [7.292, -1.201, 21.960]], "species": ["Na", "Na", "Na", "Na", "Na", "Na", "Sc", "Sc", "Sc", "Sc", "Sc", "Sc", "Ta", "Ta", "Ta", "Ta", "Ta", "Ta", "Si", "Si", "Si", "Si", "Si", "Si", "Si", "Si", "Si", "S", "S", "S", "S", "S", "S", "S", "S", "S", "O", "O", "O", "O", "O", "O", "O", "O", "O", "O", "O", "O", "O", "O", "O", "O", "O", "O", "O", "O", "O", "O", "O", "O", "O", "O", "O", "O", "O", "O", "O", "O", "O", "O", "O", "O", "O", "O", "O", "O", "O", "O", "O", "O", "O", "O", "O", "O", "O", "O", "O", "O", "O", "O", "O", "O", "O", "O", "O", "O", "O", "O", "O", "O", "O", "O", "O", "O", "O", "O", "O", "O"], "frac_coords": [[0.985, 0.981, 0.490], [0.010, 0.991, 0.997], [0.651, 0.315, 0.824], [0.668, 0.317, 0.328], [0.314, 0.660, 0.169], [0.348, 0.662, 0.659], [0.000, 0.005, 0.354], [0.014, 0.013, 0.851], [0.651, 0.333, 0.688], [0.685, 0.336, 0.190], [0.319, 0.676, 0.021], [0.350, 0.682, 0.518], [0.989, 0.005, 0.645], [0.006, 0.993, 0.151], [0.666, 0.336, 0.980], [0.676, 0.346, 0.475], [0.318, 0.676, 0.313], [0.347, 0.683, 0.808], [0.298, 0.010, 0.254], [0.008, 0.291, 0.252], [0.289, 0.289, 0.751], [0.720, 0.012, 0.752], [0.663, 0.622, 0.585], [0.956, 0.628, 0.085], [0.329, 0.958, 0.918], [0.626, 0.956, 0.417], [0.049, 0.676, 0.420], [0.708, 0.712, 0.250], [0.002, 0.713, 0.750], [0.953, 0.334, 0.584], [0.374, 0.045, 0.584], [0.670, 0.046, 0.082], [0.377, 0.331, 0.083], [0.619, 0.664, 0.918], [0.042, 0.379, 0.918], [0.336, 0.381, 0.417], [0.201, 0.024, 0.308], [0.813, 0.789, 0.301], [0.974, 0.172, 0.306], [0.205, 0.176, 0.807], [0.978, 0.789, 0.803], [0.820, 0.017, 0.810], [0.806, 0.970, 0.694], [0.164, 0.191, 0.693], [0.034, 0.823, 0.698], [0.798, 0.824, 0.196], [0.025, 0.188, 0.192], [0.166, 0.966, 0.193], [0.872, 0.350, 0.636], [0.479, 0.123, 0.636], [0.653, 0.512, 0.641], [0.858, 0.509, 0.138], [0.640, 0.122, 0.134], [0.479, 0.353, 0.134], [0.464, 0.304, 0.029], [0.831, 0.523, 0.026], [0.688, 0.157, 0.030], [0.455, 0.151, 0.532], [0.689, 0.521, 0.527], [0.843, 0.301, 0.531], [0.536, 0.681, 0.969], [0.146, 0.458, 0.970], [0.316, 0.845, 0.973], [0.540, 0.843, 0.474], [0.315, 0.460, 0.470], [0.154, 0.683, 0.476], [0.132, 0.635, 0.360], [0.497, 0.855, 0.360], [0.367, 0.487, 0.365], [0.118, 0.484, 0.866], [0.358, 0.857, 0.861], [0.509, 0.633, 0.864], [0.016, 0.834, 0.412], [0.820, 0.993, 0.411], [0.188, 0.205, 0.412], [0.012, 0.201, 0.913], [0.161, 0.981, 0.913], [0.793, 0.811, 0.911], [0.967, 0.167, 0.589], [0.198, 0.032, 0.591], [0.848, 0.816, 0.592], [0.968, 0.821, 0.089], [0.833, 0.038, 0.086], [0.201, 0.170, 0.086], [0.691, 0.173, 0.742], [0.484, 0.326, 0.746], [0.857, 0.537, 0.742], [0.687, 0.539, 0.241], [0.846, 0.325, 0.244], [0.483, 0.172, 0.240], [0.632, 0.498, 0.924], [0.862, 0.364, 0.926], [0.510, 0.152, 0.927], [0.629, 0.146, 0.428], [0.499, 0.363, 0.424], [0.853, 0.491, 0.425], [0.358, 0.484, 0.073], [0.148, 0.650, 0.078], [0.522, 0.870, 0.074], [0.347, 0.868, 0.579], [0.497, 0.649, 0.580], [0.128, 0.480, 0.577], [0.309, 0.826, 0.256], [0.537, 0.702, 0.253], [0.192, 0.480, 0.257], [0.297, 0.481, 0.762], [0.166, 0.698, 0.757], [0.522, 0.827, 0.758]]}

Number 1: E -1638.06 eV for the cell shown. Number 2: E -785.53 eV for the cell shown. Number 3: E -812.64 eV for the cell shown.